Entry from the Materials Project: a relaxed structure of Sm8Al53Si17Ru12 (GGA-PBE).

a = 11.4849 Å, b = 11.4966 Å, c = 11.5739 Å
α = 89.93°, β = 89.97°, γ = 89.98°
Space group P1 (No. 1)
Unique sites:
Sm1 0.0000 0.0000 0.0000 x1
Sm2 0.9995 0.3539 0.9997 x1
Sm3 0.0005 0.3548 0.3546 x1
Sm4 0.6436 0.3533 0.3545 x1
Sm5 0.6453 0.9998 0.0007 x1
Sm6 0.6447 0.9999 0.3545 x1
Sm7 0.6449 0.3546 0.9994 x1
Sm8 0.9990 0.9985 0.3541 x1
Al1 0.0000 0.1763 0.5646 x1
Al2 0.0000 0.5640 0.1765 x1
Al3 0.0008 0.1760 0.7906 x1
Al4 0.0013 0.7910 0.1758 x1
Al5 0.1661 0.6820 0.5204 x1
Al6 0.1715 0.5221 0.6804 x1
Al7 0.1960 0.0424 0.5501 x1
Al8 0.1964 0.3133 0.8035 x1
Al9 0.1960 0.5510 0.0405 x1
Al10 0.1958 0.5514 0.3140 x1
Al11 0.1956 0.8025 0.3135 x1
Al12 0.1975 0.0391 0.8038 x1
Al13 0.1965 0.3118 0.5499 x1
Al14 0.1968 0.8030 0.0391 x1
Al15 0.2084 0.9974 0.1771 x1
Al16 0.2089 0.1757 0.3549 x1
Al17 0.2087 0.1767 0.9984 x1
Al18 0.2088 0.3557 0.1761 x1
Al19 0.3234 0.5231 0.5152 x1
Al20 0.4362 0.1756 0.3565 x1
Al21 0.4362 0.1765 0.9980 x1
Al22 0.4360 0.3556 0.1758 x1
Al23 0.4359 0.9980 0.1769 x1
Al24 0.4474 0.0377 0.5519 x1
Al25 0.4473 0.3154 0.5514 x1
Al26 0.4480 0.0410 0.8041 x1
Al27 0.4478 0.5502 0.3130 x1
Al28 0.4483 0.5516 0.0405 x1
Al29 0.4477 0.8034 0.0403 x1
Al30 0.4476 0.8030 0.3139 x1
Al31 0.4485 0.3115 0.8028 x1
Al32 0.4771 0.5264 0.6799 x1
Al33 0.6433 0.1761 0.5645 x1
Al34 0.6434 0.5637 0.1774 x1
Al35 0.6426 0.7911 0.1772 x1
Al36 0.6437 0.1757 0.7906 x1
Al37 0.6827 0.8016 0.5512 x1
Al38 0.6842 0.5513 0.8041 x1
Al39 0.6870 0.8020 0.8040 x1
Al40 0.6882 0.5496 0.5504 x1
Al41 0.8211 0.5643 0.3545 x1
Al42 0.8208 0.7913 0.3560 x1
Al43 0.8222 0.1768 0.1774 x1
Al44 0.8225 0.3535 0.5647 x1
Al45 0.8222 0.3546 0.7906 x1
Al46 0.8219 0.5639 0.9981 x1
Al47 0.8221 0.7913 0.9988 x1
Al48 0.8222 0.9971 0.5643 x1
Al49 0.8220 0.9979 0.7908 x1
Al50 0.9569 0.5504 0.5501 x1
Al51 0.9567 0.8023 0.8034 x1
Al52 0.9602 0.5506 0.8034 x1
Al53 0.9599 0.8021 0.5508 x1
Si1 0.0628 0.1766 0.1771 x1
Si2 0.1703 0.6780 0.8409 x1
Si3 0.1719 0.8343 0.6796 x1
Si4 0.3190 0.8311 0.8351 x1
Si5 0.3220 0.1763 0.6771 x1
Si6 0.3219 0.5274 0.8422 x1
Si7 0.3220 0.6767 0.1771 x1
Si8 0.3268 0.8372 0.5227 x1
Si9 0.4735 0.6798 0.8389 x1
Si10 0.4774 0.6806 0.5182 x1
Si11 0.4773 0.8295 0.6732 x1
Si12 0.5819 0.1767 0.1768 x1
Si13 0.8221 0.1767 0.9359 x1
Si14 0.8219 0.4181 0.1772 x1
Si15 0.8221 0.6766 0.6772 x1
Si16 0.8221 0.9359 0.1773 x1
Si17 0.8226 0.1768 0.4187 x1
Ru1 0.0147 0.6783 0.3700 x1
Ru2 0.0178 0.3718 0.6783 x1
Ru3 0.0176 0.6776 0.9807 x1
Ru4 0.0209 0.9782 0.6784 x1
Ru5 0.3221 0.9801 0.9808 x1
Ru6 0.3226 0.3689 0.3687 x1
Ru7 0.3229 0.3723 0.9805 x1
Ru8 0.3229 0.9800 0.3724 x1
Ru9 0.6241 0.9775 0.6780 x1
Ru10 0.6254 0.6778 0.3724 x1
Ru11 0.6255 0.6782 0.9815 x1
Ru12 0.6269 0.3724 0.6781 x1

Formation enthalpy at 0 K (eV per atom): -0.49
Raw total energy (eV/atom): -5.37